Entry 1:
Material: NiI2O6
Method: DFT, GGA+U
State: relaxed

Output
Energy of formation = -804 meV per atom
Relative energy among the computed polymorphs = 0.150 eV per atom
Calculated volume = 156 Å³ per cell

a b c (Å): 5.9074 5.9074 5.1718
angles (deg): 90.00 90.00 120.00
Space group P-3m1 (No. 164)
Inequivalent atoms, fractional coordinates:
Ni: 0.0000 0.0000 0.0000 [1 per cell]
I: 0.3333 0.6667 0.9482 [2 per cell]
O: 0.1743 0.3486 0.7792 [6 per cell]

Entry 2:
Material: NiI2O6
Method: DFT, GGA+U
State: relaxed

Output
Energy of formation = -903 meV per atom
Relative energy among the computed polymorphs = 0.052 eV per atom
Calculated volume = 545 Å³ per cell

a b c (Å): 5.435 5.614 17.862
angles (deg): 90.00 90.00 90.00
Space group P2_12_12_1 (No. 19)
Inequivalent atoms, fractional coordinates:
Ni: 0.221 0.167 0.107 [4 per cell]
I: 0.009 0.854 0.924 [4 per cell]
I: 0.242 0.735 0.297 [4 per cell]
O: 0.021 0.024 0.200 [4 per cell]
O: 0.035 0.468 0.844 [4 per cell]
O: 0.086 0.478 0.670 [4 per cell]
O: 0.105 0.620 0.528 [4 per cell]
O: 0.109 0.887 0.380 [4 per cell]
O: 0.238 0.839 0.053 [4 per cell]

Entry 3:
Material: RbV2I3O13
Method: DFT, GGA+U
State: relaxed

Output
Energy of formation = -1501 meV per atom
Calculated volume = 1214 Å³ per cell

a b c (Å): 14.030 10.588 8.169
angles (deg): 90.00 90.00 90.00
Space group Ima2 (No. 46)
Inequivalent atoms, fractional coordinates:
Rb: 0.250 0.109 0.000 [4 per cell]
V: 0.129 0.017 0.520 [8 per cell]
I: 0.009 0.244 0.750 [8 per cell]
I: 0.250 0.722 0.775 [4 per cell]
O: 0.000 0.000 0.477 [4 per cell]
O: 0.031 0.164 0.068 [8 per cell]
O: 0.099 0.653 0.193 [8 per cell]
O: 0.102 0.115 0.720 [8 per cell]
O: 0.149 0.621 0.853 [8 per cell]
O: 0.151 0.136 0.394 [8 per cell]
O: 0.250 0.515 0.099 [4 per cell]
O: 0.250 0.660 0.568 [4 per cell]

Entry 4:
Material: SmV2IO9
Method: DFT, GGA+U
State: relaxed

Output
Energy of formation = -2295 meV per atom
Calculated volume = 750 Å³ per cell

a b c (Å): 7.061 14.589 7.280
angles (deg): 90.00 90.00 90.00
Space group Pbcm (No. 57)
Inequivalent atoms, fractional coordinates:
Sm: 0.149 0.048 0.250 [4 per cell]
V: 0.181 0.728 0.750 [4 per cell]
V: 0.460 0.250 0.000 [4 per cell]
I: 0.298 0.054 0.750 [4 per cell]
O: 0.011 0.691 0.250 [4 per cell]
O: 0.082 0.623 0.750 [4 per cell]
O: 0.172 0.511 0.069 [8 per cell]
O: 0.262 0.750 0.000 [4 per cell]
O: 0.325 0.157 0.047 [8 per cell]
O: 0.472 0.001 0.250 [4 per cell]
O: 0.472 0.719 0.750 [4 per cell]